No. 1
Density functional theory data (PBE) for an optimized crystal structure of LiMgAlH6.

Results
Calculated total energy ... -3.24 eV per atom

abc: 8.0005 8.0005 4.3738
angles: 90.00 90.00 120.00
Fractional positions:
1 H 0.2092 0.0943 0.7793
2 H 0.0943 0.2092 0.2207
3 H 0.2361 0.7774 0.7236
4 H 0.1149 0.9057 0.2207
5 H 0.5413 0.7639 0.7236
6 H 0.7774 0.2361 0.2764
7 H 0.9057 0.1149 0.7793
8 H 0.7908 0.8851 0.2207
9 H 0.7639 0.5413 0.2764
10 H 0.4554 0.8740 0.2706
11 H 0.5815 0.1260 0.7294
12 H 0.4587 0.2226 0.2764
13 H 0.2226 0.4587 0.7236
14 H 0.5446 0.4185 0.7294
15 H 0.1260 0.5815 0.2706
16 H 0.4185 0.5446 0.2706
17 H 0.8740 0.4554 0.7294
18 H 0.8851 0.7908 0.7793
19 Li 0.0000 0.7042 0.5000
20 Li 0.2958 0.2958 0.5000
21 Li 0.7042 0.0000 0.5000
22 Mg 0.3633 0.0000 0.0000
23 Mg 0.0000 0.3633 0.0000
24 Mg 0.6367 0.6367 0.0000
25 Al 0.3333 0.6667 0.4968
26 Al 0.6667 0.3333 0.5032
27 Al 0.0000 0.0000 0.0000


No. 2
Density functional theory data (PBE) for an optimized crystal structure of Li3Mg3Ti6O16.

Results
Calculated total energy ... -7.74 eV per atom

abc: 8.4763 8.4736 8.4744
angles: 90.00 90.00 90.00
Fractional positions:
1 Ti 0.8663 0.6282 0.8780
2 Ti 0.6226 0.3801 0.8713
3 Ti 0.8821 0.1274 0.3639
4 Ti 0.3663 0.3718 0.1220
5 Ti 0.3747 0.6195 0.3763
6 Ti 0.1303 0.1315 0.6295
7 Ti 0.6303 0.8685 0.3705
8 Ti 0.3821 0.8726 0.6361
9 Ti 0.1226 0.6199 0.1287
10 Ti 0.8747 0.3805 0.6237
11 Ti 0.1259 0.8832 0.8838
12 Ti 0.6259 0.1168 0.1162
13 Li 0.8752 0.8746 0.1242
14 Li 0.6247 0.6251 0.6253
15 Li 0.3752 0.1254 0.8758
16 Li 0.1247 0.3749 0.3747
17 Li 0.9980 0.2519 0.9982
18 Li 0.4980 0.7481 0.0018
19 O 0.8874 0.1370 0.6126
20 O 0.8904 0.8574 0.8716
21 O 0.6429 0.6095 0.8761
22 O 0.8719 0.3601 0.3921
23 O 0.3904 0.1426 0.1284
24 O 0.1128 0.6384 0.8876
25 O 0.1269 0.8616 0.1074
26 O 0.6128 0.3616 0.1124
27 O 0.1429 0.3905 0.1239
28 O 0.3719 0.6399 0.6079
29 O 0.8580 0.1263 0.1443
30 O 0.6269 0.1384 0.8926
31 O 0.6381 0.3723 0.6417
32 O 0.1124 0.3585 0.6266
33 O 0.6072 0.8788 0.6107
34 O 0.3773 0.3920 0.3619
35 O 0.8917 0.6239 0.1110
36 O 0.1381 0.6277 0.3583
37 O 0.3874 0.8630 0.3874
38 O 0.6232 0.8941 0.1424
39 O 0.3618 0.6110 0.1394
40 O 0.6376 0.1132 0.3636
41 O 0.1376 0.8868 0.6364
42 O 0.3580 0.8737 0.8557
43 O 0.1232 0.1059 0.8576
44 O 0.3917 0.3761 0.8890
45 O 0.8618 0.3890 0.8606
46 O 0.6124 0.6415 0.3734
47 O 0.8576 0.8893 0.3782
48 O 0.1072 0.1212 0.3893
49 O 0.8773 0.6080 0.6381
50 O 0.3576 0.1107 0.6218
51 Mg 0.2486 0.5025 0.7540
52 Mg 0.7486 0.4975 0.2460
53 Mg 0.5017 0.2481 0.4982
54 Mg 0.2525 0.9984 0.2501
55 Mg 0.7525 0.0016 0.7499
56 Mg 0.0017 0.7519 0.5018


No. 3
Density functional theory data (PBE) for an optimized crystal structure of YMg7.

Results
Calculated total energy ... -2.21 eV per atom
Excess energy over the best structure of this formula in the dataset ... 0 meV/atom

abc: 6.6152 6.6152 5.1765
angles: 90.00 90.00 120.00
Fractional positions:
1 Mg 0.0000 0.0000 0.0000
2 Mg 0.3381 0.1691 0.5000
3 Mg 0.8309 0.1691 0.5000
4 Mg 0.8309 0.6619 0.5000
5 Mg 0.9960 0.4980 0.0000
6 Mg 0.5020 0.4980 0.0000
7 Mg 0.5020 0.0040 0.0000
8 Y 0.3333 0.6667 0.5000


No. 4
Density functional theory data (PBE) for an optimized crystal structure of TmBPt2.

Results
Calculated total energy ... -6.84 eV per atom

abc: 5.3120 5.3120 7.9389
angles: 90.00 90.00 120.00
Fractional positions:
1 Pt 0.8484 0.1516 0.1667
2 Pt 0.6968 0.8484 0.5000
3 Pt 0.1516 0.8484 0.1667
4 Pt 0.8484 0.6968 0.8333
5 Pt 0.3032 0.1516 0.5000
6 Pt 0.1516 0.3032 0.8333
7 B 0.0000 0.5000 0.0000
8 B 0.5000 0.5000 0.6667
9 B 0.5000 0.0000 0.3333
10 Tm 0.5000 0.0000 0.8333
11 Tm 0.0000 0.5000 0.5000
12 Tm 0.5000 0.5000 0.1667


No. 5
Density functional theory data (PBE) for an optimized crystal structure of K2NdAuCl6.

Results
Calculated total energy ... -3.74 eV per atom

abc: 7.7263 7.7263 7.7263
angles: 60.00 60.00 60.00
Fractional positions:
1 Nd 0.0000 0.0000 0.0000
2 Cl 0.2492 0.7508 0.2492
3 Cl 0.7508 0.7508 0.2492
4 Cl 0.2492 0.7508 0.7508
5 Cl 0.7508 0.2492 0.7508
6 Cl 0.2492 0.2492 0.7508
7 Cl 0.7508 0.2492 0.2492
8 K 0.2500 0.2500 0.2500
9 K 0.7500 0.7500 0.7500
10 Au 0.5000 0.5000 0.5000


No. 6
Density functional theory data (PBE) for an optimized crystal structure of NaP3H10N2O10.

Results
Calculated total energy ... -5.93 eV per atom

abc: 11.7900 6.8951 13.8173
angles: 72.66 90.00 90.00
Fractional positions:
1 O 0.0098 0.0382 0.8039
2 O 0.7746 0.8870 0.5542
3 O 0.0596 0.6739 0.9076
4 O 0.1810 0.2092 0.6090
5 O 0.7316 0.5292 0.5384
6 O 0.1300 0.4527 0.7989
7 O 0.3190 0.2092 0.1090
8 O 0.5098 0.9618 0.6961
9 O 0.2316 0.4708 0.9616
10 O 0.7254 0.8870 0.0542
11 O 0.6300 0.5473 0.7011
12 O 0.3700 0.4527 0.2989
13 O 0.3865 0.1640 0.5531
14 O 0.2567 0.7707 0.3049
15 O 0.8190 0.7908 0.3910
16 O 0.8865 0.8360 0.9469
17 O 0.2433 0.7707 0.8049
18 O 0.2254 0.1130 0.4458
19 O 0.5010 0.5879 0.1240
20 O 0.9404 0.3261 0.0924
21 O 0.4990 0.4121 0.8760
22 O 0.8700 0.5473 0.2011
23 O 0.6135 0.8360 0.4469
24 O 0.1063 0.2660 0.2179
25 O 0.3937 0.2660 0.7179
26 O 0.9990 0.5879 0.6240
27 O 0.8937 0.7340 0.7821
28 O 0.6063 0.7340 0.2821
29 O 0.4902 0.0382 0.3039
30 O 0.1135 0.1640 0.0531
31 O 0.6810 0.7908 0.8910
32 O 0.2746 0.1130 0.9458
33 O 0.5596 0.3261 0.5924
34 O 0.7433 0.2293 0.6951
35 O 0.7684 0.5292 0.0384
36 O 0.9902 0.9618 0.1961
37 O 0.0010 0.4121 0.3760
38 O 0.7567 0.2293 0.1951
39 O 0.4404 0.6739 0.4076
40 O 0.2684 0.4708 0.4616
41 H 0.4856 0.1223 0.1162
42 H 0.4577 0.7254 0.9907
43 H 0.6327 0.4731 0.3381
44 H 0.3931 0.9523 0.9340
45 H 0.6069 0.0477 0.0660
46 H 0.3875 0.7720 0.8768
47 H 0.3673 0.5269 0.6619
48 H 0.8015 0.2725 0.8131
49 H 0.1125 0.7720 0.3768
50 H 0.9378 0.2505 0.8456
51 H 0.0144 0.1223 0.6162
52 H 0.6125 0.2280 0.1232
53 H 0.1327 0.5269 0.1619
54 H 0.1069 0.9523 0.4340
55 H 0.9577 0.2746 0.5093
56 H 0.5144 0.8777 0.8838
57 H 0.3015 0.7275 0.6869
58 H 0.5622 0.2505 0.3456
59 H 0.5563 0.4661 0.8223
60 H 0.4437 0.5339 0.1777
61 H 0.0423 0.7254 0.4907
62 H 0.3410 0.7445 0.5657
63 H 0.0530 0.3389 0.3437
64 H 0.5530 0.6611 0.1563
65 H 0.0563 0.5339 0.6777
66 H 0.6590 0.2555 0.4343
67 H 0.9470 0.6611 0.6563
68 H 0.8410 0.2555 0.9343
69 H 0.9856 0.8777 0.3838
70 H 0.8875 0.2280 0.6232
71 H 0.8673 0.4731 0.8381
72 H 0.8931 0.0477 0.5660
73 H 0.1985 0.7275 0.1869
74 H 0.6985 0.2725 0.3131
75 H 0.5423 0.2746 0.0093
76 H 0.0622 0.7495 0.1544
77 H 0.9437 0.4661 0.3223
78 H 0.4378 0.7495 0.6544
79 H 0.1590 0.7445 0.0657
80 H 0.4470 0.3389 0.8437
81 P 0.5395 0.8311 0.3488
82 P 0.8317 0.4069 0.1430
83 P 0.1683 0.5931 0.8570
84 P 0.7449 0.7727 0.4806
85 P 0.9605 0.8311 0.8488
86 P 0.0395 0.1689 0.1512
87 P 0.3317 0.5931 0.3570
88 P 0.2449 0.2273 0.0194
89 P 0.7551 0.7727 0.9806
90 P 0.6683 0.4069 0.6430
91 P 0.4605 0.1689 0.6512
92 P 0.2551 0.2273 0.5194
93 N 0.1387 0.6863 0.1408
94 N 0.3613 0.6863 0.6408
95 N 0.0612 0.8327 0.4214
96 N 0.8613 0.3137 0.8592
97 N 0.4388 0.8327 0.9214
98 N 0.9388 0.1673 0.5786
99 N 0.6387 0.3137 0.3592
100 N 0.5612 0.1673 0.0786
101 Na 0.2984 0.1398 0.2824
102 Na 0.7016 0.8602 0.7176
103 Na 0.7984 0.8602 0.2176
104 Na 0.2016 0.1398 0.7824


no.,calculated formation energy (eV/atom)
1,-0.2924
2,-3.2409
3,-0.0030
4,-1.0127
5,-1.9760
6,-1.6660